CaHf8N8O4: relaxed, PBE-GGA.

Values from the calculation:
M_tot   0.00 Bohr magnetons per cell
Total energy after the MP2020 corrections   -213.68 eV per cell
Calculated volume   277.3 Å³/cell

Cell lengths 5.455, 5.608, 10.347 Å; angles 86.32, 89.59, 61.44 degrees
Space group P1 (No. 1)
One atom of each set of equivalent atoms:
Ca (0.000, 0.000, 0.000) (multiplicity 1)
Hf (0.027, 0.959, 0.369) (multiplicity 1)
Hf (0.304, 0.330, 0.132) (multiplicity 1)
Hf (0.346, 0.322, 0.838) (multiplicity 1)
Hf (0.351, 0.314, 0.424) (multiplicity 1)
Hf (0.658, 0.689, 0.874) (multiplicity 1)
Hf (0.664, 0.688, 0.179) (multiplicity 1)
Hf (0.693, 0.622, 0.576) (multiplicity 1)
Hf (0.929, 0.005, 0.681) (multiplicity 1)
N (0.019, 0.664, 0.259) (multiplicity 1)
N (0.320, 0.668, 0.496) (multiplicity 1)
N (0.329, 0.038, 0.277) (multiplicity 1)
N (0.535, 0.000, 0.021) (multiplicity 1)
N (0.624, 0.411, 0.740) (multiplicity 1)
N (0.696, 0.999, 0.515) (multiplicity 1)
N (0.937, 0.443, 0.028) (multiplicity 1)
N (0.978, 0.624, 0.742) (multiplicity 1)
O (0.012, 0.282, 0.508) (multiplicity 1)
O (0.239, 0.009, 0.798) (multiplicity 1)
O (0.383, 0.565, 0.986) (multiplicity 1)
O (0.627, 0.345, 0.266) (multiplicity 1)

InSi2PH24C8: relaxed, PBE-GGA.

Values from the calculation:
M_tot   0.00 Bohr magnetons per cell
Calculated volume   819.5 Å³/cell

Cell lengths 9.478, 9.875, 9.981 Å; angles 77.09, 80.70, 64.48 degrees
Space group P-1 (No. 2)
One atom of each set of equivalent atoms:
In (0.038, 0.147, 0.072) (multiplicity 2)
Si (0.177, 0.128, 0.664) (multiplicity 2)
Si (0.250, 0.690, 0.241) (multiplicity 2)
P (0.018, 0.880, 0.172) (multiplicity 2)
H (0.017, 0.271, 0.460) (multiplicity 2)
H (0.085, 0.071, 0.469) (multiplicity 2)
H (0.129, 0.659, 0.741) (multiplicity 2)
H (0.133, 0.399, 0.657) (multiplicity 2)
H (0.142, 0.550, 0.911) (multiplicity 2)
H (0.149, 0.493, 0.362) (multiplicity 2)
H (0.204, 0.478, 0.185) (multiplicity 2)
H (0.215, 0.162, 0.409) (multiplicity 2)
H (0.229, 0.717, 0.490) (multiplicity 2)
H (0.266, 0.650, 0.850) (multiplicity 2)
H (0.270, 0.273, 0.779) (multiplicity 2)
H (0.292, 0.226, 0.016) (multiplicity 2)
H (0.305, 0.110, 0.182) (multiplicity 2)
H (0.321, 0.830, 0.381) (multiplicity 2)
H (0.328, 0.846, 0.683) (multiplicity 2)
H (0.329, 0.288, 0.600) (multiplicity 2)
H (0.351, 0.408, 0.304) (multiplicity 2)
H (0.367, 0.025, 0.031) (multiplicity 2)
H (0.378, 0.671, 0.001) (multiplicity 2)
H (0.394, 0.917, 0.797) (multiplicity 2)
H (0.417, 0.799, 0.074) (multiplicity 2)
H (0.427, 0.629, 0.423) (multiplicity 2)
H (0.450, 0.945, 0.618) (multiplicity 2)
H (0.482, 0.401, 0.874) (multiplicity 2)
C (0.117, 0.160, 0.484) (multiplicity 2)
C (0.148, 0.655, 0.848) (multiplicity 2)
C (0.232, 0.287, 0.677) (multiplicity 2)
C (0.236, 0.500, 0.276) (multiplicity 2)
C (0.280, 0.123, 0.075) (multiplicity 2)
C (0.311, 0.720, 0.399) (multiplicity 2)
C (0.353, 0.941, 0.694) (multiplicity 2)
C (0.404, 0.690, 0.097) (multiplicity 2)

Ti3ZnP4O14: relaxed, PBE-GGA.

Values from the calculation:
M_tot   8.00 Bohr magnetons per cell
Total energy after the MP2020 corrections   -345.71 eV per cell
Calculated volume   545.8 Å³/cell

Cell lengths 7.629, 7.891, 9.782 Å; angles 90.00, 112.04, 90.00 degrees
Space group P2_1/c (No. 14)
One atom of each set of equivalent atoms:
Ti (0.000, 0.000, 0.000) (multiplicity 2)
Ti (0.184, 0.135, 0.527) (multiplicity 4)
Zn (0.500, 0.000, 0.000) (multiplicity 2)
P (0.117, 0.706, 0.809) (multiplicity 4)
P (0.393, 0.049, 0.301) (multiplicity 4)
O (0.008, 0.710, 0.640) (multiplicity 4)
O (0.033, 0.577, 0.889) (multiplicity 4)
O (0.136, 0.623, 0.384) (multiplicity 4)
O (0.267, 0.108, 0.141) (multiplicity 4)
O (0.319, 0.640, 0.822) (multiplicity 4)
O (0.352, 0.164, 0.411) (multiplicity 4)
O (0.399, 0.521, 0.171) (multiplicity 4)

Cr2CuS4: relaxed, PBE-GGA.

Values from the calculation:
M_tot   4.98 Bohr magnetons per cell
Total energy after the MP2020 corrections   -90.88 eV per cell
Calculated volume   213.6 Å³/cell

Cell lengths 12.526, 3.344, 5.667 Å; angles 90.00, 115.87, 90.00 degrees
Space group C2/m (No. 12)
One atom of each set of equivalent atoms:
Cr (0.243, 0.000, 0.189) (multiplicity 4)
Cu (0.000, 0.500, 0.500) (multiplicity 2)
S (0.116, 0.500, 0.959) (multiplicity 4)
S (0.147, 0.000, 0.485) (multiplicity 4)

Tb3Co: relaxed, PBE-GGA.

Values from the calculation:
Calculated volume   416.0 Å³/cell

Cell lengths 6.957, 9.450, 6.329 Å; angles 90.00, 90.00, 90.00 degrees
Space group Pnma (No. 62)
One atom of each set of equivalent atoms:
Tb (0.045, 0.250, 0.131) (multiplicity 4)
Tb (0.178, 0.065, 0.674) (multiplicity 8)
Co (0.106, 0.750, 0.450) (multiplicity 4)

Li4Ti11O24: relaxed, PBE-GGA.

Values from the calculation:
M_tot   0.00 Bohr magnetons per cell
Total energy after the MP2020 corrections   -681.32 eV per cell
Calculated volume   902.4 Å³/cell

Cell lengths 19.721, 5.983, 8.454 Å; angles 90.00, 115.23, 90.00 degrees
Space group Cm (No. 8)
One atom of each set of equivalent atoms:
Li (0.000, 0.000, 0.000) (multiplicity 2)
Li (0.003, 0.500, 0.744) (multiplicity 2)
Li (0.332, 0.000, 0.328) (multiplicity 2)
Li (0.418, 0.500, 0.537) (multiplicity 2)
Ti (0.081, 0.000, 0.700) (multiplicity 2)
Ti (0.087, 0.500, 0.221) (multiplicity 2)
Ti (0.168, 0.252, 0.037) (multiplicity 4)
Ti (0.249, 0.000, 0.856) (multiplicity 2)
Ti (0.256, 0.500, 0.373) (multiplicity 2)
Ti (0.336, 0.258, 0.700) (multiplicity 4)
Ti (0.416, 0.000, 0.036) (multiplicity 2)
Ti (0.498, 0.259, 0.375) (multiplicity 4)
O (0.001, 0.280, 0.132) (multiplicity 4)
O (0.007, 0.233, 0.609) (multiplicity 4)
O (0.074, 0.000, 0.461) (multiplicity 2)
O (0.074, 0.500, 0.424) (multiplicity 2)
O (0.092, 0.000, 0.950) (multiplicity 2)
O (0.094, 0.500, 0.971) (multiplicity 2)
O (0.166, 0.282, 0.267) (multiplicity 4)
O (0.168, 0.217, 0.807) (multiplicity 4)
O (0.241, 0.000, 0.102) (multiplicity 2)
O (0.241, 0.500, 0.124) (multiplicity 2)
O (0.261, 0.000, 0.648) (multiplicity 2)
O (0.262, 0.500, 0.614) (multiplicity 2)
O (0.328, 0.266, 0.466) (multiplicity 4)
O (0.335, 0.215, 0.938) (multiplicity 4)
O (0.406, 0.500, 0.777) (multiplicity 2)
O (0.411, 0.000, 0.790) (multiplicity 2)
O (0.425, 0.000, 0.282) (multiplicity 2)
O (0.431, 0.500, 0.302) (multiplicity 2)

Y6CoNi: relaxed, PBE-GGA.

Values from the calculation:
M_tot   0.02 Bohr magnetons per cell
Calculated volume   401.2 Å³/cell

Cell lengths 9.412, 6.253, 6.817 Å; angles 90.00, 90.00, 90.00 degrees
Space group Pmc2_1 (No. 26)
One atom of each set of equivalent atoms:
Y (0.000, 0.110, 0.000) (multiplicity 2)
Y (0.185, 0.424, 0.360) (multiplicity 4)
Y (0.320, 0.072, 0.715) (multiplicity 4)
Y (0.500, 0.388, 0.083) (multiplicity 2)
Co (0.500, 0.204, 0.427) (multiplicity 2)
Ni (0.000, 0.302, 0.647) (multiplicity 2)

NdErIn2: relaxed, PBE-GGA.

Values from the calculation:
Calculated volume   445.5 Å³/cell

Cell lengths 7.637, 7.637, 7.637 Å; angles 90.00, 90.00, 90.00 degrees
Space group Fm-3m (No. 225)
One atom of each set of equivalent atoms:
Nd (0.000, 0.000, 0.000) (multiplicity 4)
Er (0.000, 0.000, 0.500) (multiplicity 4)
In (0.250, 0.250, 0.250) (multiplicity 8)

AgB3O5: relaxed, PBE-GGA.

Values from the calculation:
Total energy after the MP2020 corrections   -276.92 eV per cell
Calculated volume   343.5 Å³/cell

Cell lengths 10.392, 8.397, 3.936 Å; angles 90.00, 90.00, 90.00 degrees
Space group Pna2_1 (No. 33)
One atom of each set of equivalent atoms:
Ag (0.080, 0.092, 0.000) (multiplicity 4)
B (0.029, 0.399, 0.580) (multiplicity 4)
B (0.162, 0.747, 0.850) (multiplicity 4)
B (0.187, 0.461, 0.038) (multiplicity 4)
O (0.033, 0.745, 0.945) (multiplicity 4)
O (0.073, 0.507, 0.279) (multiplicity 4)
O (0.135, 0.355, 0.786) (multiplicity 4)
O (0.204, 0.890, 0.716) (multiplicity 4)
O (0.235, 0.613, 0.890) (multiplicity 4)

K2InMo15Se19: relaxed, PBE-GGA.

Values from the calculation:
M_tot   0.05 Bohr magnetons per cell
Total energy after the MP2020 corrections   -529.97 eV per cell
Calculated volume   1718.1 Å³/cell

Cell lengths 9.947, 19.910, 9.962 Å; angles 90.00, 119.44, 90.00 degrees
Space group P2_1/m (No. 11)
One atom of each set of equivalent atoms:
K (0.166, 0.130, 0.330) (multiplicity 4)
In (0.324, 0.250, 0.789) (multiplicity 2)
Mo (0.008, 0.635, 0.188) (multiplicity 4)
Mo (0.009, 0.750, 0.341) (multiplicity 2)
Mo (0.159, 0.750, 0.173) (multiplicity 2)
Mo (0.183, 0.637, 0.493) (multiplicity 4)
Mo (0.313, 0.635, 0.319) (multiplicity 4)
Mo (0.329, 0.750, 0.489) (multiplicity 2)
Mo (0.337, 0.056, 0.852) (multiplicity 4)
Mo (0.353, 0.555, 0.016) (multiplicity 4)
Mo (0.488, 0.555, 0.838) (multiplicity 4)
Se (0.116, 0.136, 0.631) (multiplicity 4)
Se (0.139, 0.642, 0.017) (multiplicity 4)
Se (0.141, 0.250, 0.962) (multiplicity 2)
Se (0.167, 0.534, 0.333) (multiplicity 4)
Se (0.181, 0.750, 0.641) (multiplicity 2)
Se (0.185, 0.550, 0.714) (multiplicity 4)
Se (0.212, 0.052, 0.029) (multiplicity 4)
Se (0.459, 0.750, 0.316) (multiplicity 2)
Se (0.467, 0.051, 0.681) (multiplicity 4)
Se (0.484, 0.642, 0.620) (multiplicity 4)
Se (0.493, 0.658, 0.994) (multiplicity 4)

AlCo2Si: relaxed, PBE-GGA.

Values from the calculation:
M_tot   5.35 Bohr magnetons per cell
Total energy after the MP2020 corrections   -43.03 eV per cell
Calculated volume   110.4 Å³/cell

Cell lengths 2.556, 4.393, 9.834 Å; angles 90.00, 90.00, 90.00 degrees
Space group Immm (No. 71)
One atom of each set of equivalent atoms:
Al (0.000, 0.000, 0.000) (multiplicity 2)
Co (0.000, 0.000, 0.268) (multiplicity 4)
Si (0.000, 0.000, 0.500) (multiplicity 2)

VCr3As4: relaxed, PBE-GGA.

Values from the calculation:
M_tot   5.74 Bohr magnetons per cell
Calculated volume   125.1 Å³/cell

Cell lengths 5.642, 3.535, 6.273 Å; angles 90.00, 90.12, 90.00 degrees
Space group Pm (No. 6)
One atom of each set of equivalent atoms:
V (0.000, 0.000, 0.000) (multiplicity 1)
Cr (0.011, 0.500, 0.402) (multiplicity 1)
Cr (0.500, 0.000, 0.920) (multiplicity 1)
Cr (0.513, 0.500, 0.497) (multiplicity 1)
As (0.213, 0.500, 0.781) (multiplicity 1)
As (0.298, 0.000, 0.291) (multiplicity 1)
As (0.708, 0.500, 0.128) (multiplicity 1)
As (0.804, 0.000, 0.626) (multiplicity 1)

Energy of formation in eV/atom, matching the order above: -2.168, -0.180, -2.590, -0.784, -0.142, -3.267, -0.181, -0.458, -2.402, -0.835, 0.468, -0.239